Entry 1:
This record from the Materials Project database describes Al7CrBi4O18 after structural relaxation. The functional is PBE+U. Values from VASP.

Calculated values
Final energy   -6.972 eV/atom
DFT formation energy   -267 kJ per mole of atoms

```
&SYSTEM
  ibrav = 0, nat = 30, ntyp = 4
/
ATOMIC_SPECIES
O 16.00 O.upf
Bi 208.98 Bi.upf
Al 26.98 Al.upf
Cr 52.00 Cr.upf
ATOMIC_POSITIONS angstrom
O 0.000 6.704 7.707
O 2.909 0.009 4.122
Bi 5.808 6.493 5.523
O 2.926 3.900 0.000
O 0.000 1.114 0.536
Al 2.924 5.083 6.928
O 2.916 6.745 7.540
O 2.916 1.073 0.704
Al 2.922 1.148 5.463
O 2.983 2.812 4.858
O 1.457 2.900 2.352
Al 2.922 6.670 2.780
O 4.357 0.970 6.547
O 4.357 6.848 1.697
O 5.758 2.756 4.671
Al 2.924 2.735 1.315
Bi 5.814 5.247 1.381
O 1.457 4.918 5.892
Al 1.528 0.000 0.000
Cr 1.503 3.909 4.122
O 1.471 6.829 1.711
Bi 5.808 1.326 2.720
Bi 5.814 2.571 6.862
O 1.471 0.989 6.533
O 4.355 2.921 2.401
Al 4.301 3.909 4.122
Al 4.299 0.000 0.000
O 4.355 4.898 5.842
O 2.983 5.006 3.386
O 5.758 5.062 3.572
CELL_PARAMETERS angstrom
5.823 0.000 0.000
0.000 7.800 0.000
0.000 0.018 8.243
```

---

Entry 2:
This record from the Materials Project database describes K2Mn2Be3F12 after structural relaxation. The functional is PBE+U. Values from VASP.

Calculated values
Final energy   -5.563 eV/atom
DFT formation energy   -304 kJ per mole of atoms
ΔE to the lowest computed polymorph   148 meV/atom

```
&SYSTEM
  ibrav = 0, nat = 76, ntyp = 4
/
ATOMIC_SPECIES
Be 9.01 Be.upf
F 19.00 F.upf
Mn 54.94 Mn.upf
K 39.10 K.upf
ATOMIC_POSITIONS angstrom
Be 1.357 -6.078 6.258
F 2.083 -7.048 5.271
Be -0.765 -2.756 8.353
F -4.047 -8.975 9.456
F -1.535 -4.887 12.653
F -3.576 -3.860 11.489
Be 1.689 -7.471 10.601
Mn -3.512 -2.024 10.375
F 0.234 -6.837 7.041
K -4.106 -2.514 6.458
F 2.651 -2.008 10.234
Be -2.702 -9.342 8.746
F -2.267 -2.570 8.711
F 1.455 -7.374 12.136
F -2.972 -9.872 7.307
F -2.351 -0.504 2.400
F -0.751 -4.388 2.904
F -5.087 -2.978 9.307
Mn 1.282 -0.363 10.213
F -6.608 -7.019 7.021
Be 2.213 -1.788 3.475
K 0.894 -4.122 11.477
F 3.214 -9.500 6.454
F 0.678 -7.494 0.764
F -3.641 -6.289 12.287
F 3.036 -6.797 10.211
K -4.973 -6.339 9.197
F 1.676 -8.971 10.152
F 2.308 0.267 8.443
F -6.501 -3.377 4.798
F -6.366 -4.199 7.592
F 1.652 -0.429 2.938
F -1.931 -10.404 9.582
Be -1.170 -4.091 1.435
F 3.640 -4.152 9.533
F 1.286 -2.360 4.586
F 0.479 -6.705 9.976
Mn -1.041 -6.087 8.601
F -4.574 -5.400 5.631
F -1.747 -8.105 8.716
Mn -3.452 -9.144 5.343
Be -0.998 -1.026 12.580
F 4.750 -7.742 7.516
F -2.841 -5.647 7.511
K 0.655 -9.553 7.605
K -0.090 -0.524 0.740
K 2.453 -2.522 7.246
K -0.440 -7.200 3.585
Be -2.115 -0.386 3.943
F 0.093 -1.571 8.906
F 3.835 0.096 6.518
F -0.030 -3.328 0.683
F -5.947 -0.988 4.566
F -2.270 -4.621 5.239
F 0.725 -4.994 5.338
F -1.997 -1.798 4.586
Be -3.084 -5.730 5.967
F -2.246 -5.733 10.334
Mn -6.706 -5.272 5.771
Be -6.651 -8.523 6.590
F -2.159 -0.847 11.560
F 0.999 -9.672 4.610
F -0.233 -4.119 8.908
F 2.281 -8.063 2.545
F -0.560 -2.692 6.812
F -1.437 -9.724 4.975
Be -2.746 -5.160 11.700
Mn 2.953 -8.815 4.433
Mn -0.582 -3.400 4.804
Be 4.431 -9.262 7.409
F 0.330 -1.398 11.839
F 2.368 -5.430 7.248
F -2.690 -7.136 5.428
Mn 4.032 -5.970 8.496
K -1.420 -8.302 11.730
F -5.568 -8.811 5.511
CELL_PARAMETERS angstrom
-8.744 -1.389 5.288
1.838 -10.141 0.375
5.150 1.261 8.846
```

---

Entry 3:
This record from the Materials Project database describes Be3Cr2Si3O12 after structural relaxation. The functional is PBE+U. Values from VASP.

Calculated values
Final energy   -7.542 eV/atom
DFT formation energy   -275 kJ per mole of atoms

```
&SYSTEM
  ibrav = 0, nat = 80, ntyp = 4
/
ATOMIC_SPECIES
O 16.00 O.upf
Be 9.01 Be.upf
Cr 52.00 Cr.upf
Si 28.09 Si.upf
ATOMIC_POSITIONS angstrom
O 2.481 -13.470 6.977
Be 0.447 -15.818 7.758
O 1.694 -13.479 4.454
O -2.425 -10.921 2.971
O 2.082 -10.856 6.338
Cr 0.163 -17.807 9.559
Si 1.736 -5.076 0.650
Si -2.391 -7.007 0.543
Be 2.849 -11.922 7.382
O -0.265 -4.212 4.282
O 2.187 -9.661 3.382
Be -3.060 -13.400 8.937
O 0.089 -8.804 11.530
Cr 1.966 -11.389 4.367
Be 0.015 -6.971 -0.628
O 2.801 -7.216 2.281
O -1.040 -7.881 8.201
O -0.113 -14.603 8.502
Cr 0.637 -1.966 0.943
O -0.014 -10.054 1.967
O -0.894 -6.294 6.049
Be 1.508 -10.214 1.981
O -1.546 -10.057 9.886
O 0.914 -8.295 6.386
Be -2.049 -7.851 3.120
Be 0.784 -12.802 11.130
O -1.387 -10.112 7.120
O -0.114 -11.478 4.116
O -1.681 -6.303 3.525
O -2.516 -11.898 5.573
Be -0.708 -9.559 8.521
O 3.391 -4.980 0.755
Be -1.052 -12.582 5.144
O -0.233 -16.050 10.634
O 0.004 -8.455 -0.274
O -0.860 -1.815 -0.536
Si 1.187 -13.907 6.035
Si 1.734 -9.520 7.261
Si -0.936 -14.697 9.852
O 1.033 -3.723 -0.132
O 1.670 -16.520 8.779
O 0.912 -5.170 2.000
O -0.700 -13.471 10.940
Si -2.377 -11.434 7.165
O -2.002 -12.556 8.221
Be 1.852 -7.190 5.358
O -1.998 -8.111 1.612
O 3.316 -7.875 4.929
Cr 0.554 -6.582 7.663
O 2.346 -9.715 0.616
O -0.870 -3.253 1.723
O -1.282 -8.917 4.164
O 2.797 -11.662 8.890
Si -0.400 -10.321 11.069
Si -0.934 -10.253 3.241
Si -0.387 -5.866 4.467
Be 0.352 -3.955 2.744
O 1.660 -17.958 11.038
O 1.982 -13.779 10.491
Cr 0.246 -13.191 2.840
O -3.105 -7.554 -0.844
O 1.500 -6.302 -0.438
Cr -1.115 -3.971 -0.263
O 0.814 -9.719 8.535
O 3.905 -12.219 11.346
O 0.796 -11.318 10.776
O 0.900 -6.763 4.245
Be 3.860 -6.373 1.565
O 3.225 -8.852 7.531
O -1.182 -5.994 0.011
Cr 1.914 -15.802 10.765
O 1.065 -15.561 6.220
Si 3.190 -12.765 9.959
Si 1.200 -9.452 -0.567
O 0.711 -10.969 -1.028
O -0.100 -13.010 6.257
Cr -1.167 -8.384 6.136
O -2.591 -14.793 9.747
Si 3.177 -8.339 3.337
O 1.840 -11.892 2.301
CELL_PARAMETERS angstrom
-4.471 -4.902 -3.518
5.508 -5.729 0.982
-0.237 -9.142 13.038
```

---

Entry 4:
This record from the Materials Project database describes Li2FeSi4O10 after structural relaxation. The functional is PBE+U. Values from VASP.

Calculated values
Final energy   -7.247 eV/atom
DFT formation energy   -277 kJ per mole of atoms
ΔE to the lowest computed polymorph   12 meV/atom

```
&SYSTEM
  ibrav = 0, nat = 68, ntyp = 4
/
ATOMIC_SPECIES
Li 6.94 Li.upf
Si 28.09 Si.upf
O 16.00 O.upf
Fe 55.84 Fe.upf
ATOMIC_POSITIONS angstrom
Li 8.990 4.441 3.100
Si 5.497 3.280 2.205
Li 6.399 11.986 11.671
Si 5.218 8.375 4.268
O 2.769 7.315 7.462
O 2.142 6.606 9.907
Li 4.016 5.498 3.437
Li 5.932 7.151 9.637
Li 8.523 9.276 5.135
O 0.529 7.267 2.801
O 6.905 2.780 1.548
O 7.179 5.333 5.612
Si 2.322 10.872 12.609
Li 3.549 0.662 1.402
O 0.249 10.098 9.600
O 1.712 2.055 1.653
O 2.205 4.606 0.925
Si 7.296 4.485 7.001
Si 0.523 6.659 4.332
O 7.805 6.042 3.167
Fe 6.347 6.518 1.874
O 4.725 7.389 3.063
O 4.172 8.429 5.520
O 4.445 9.976 9.338
Si 7.242 9.283 11.216
O 6.786 0.395 0.266
O 5.787 9.985 11.688
Si 7.626 1.776 0.464
O 3.042 9.868 11.525
O 7.116 8.751 9.703
O 4.161 2.663 1.385
Si 0.244 1.563 2.269
Si 2.269 6.074 8.394
O 8.135 3.104 6.803
O 0.813 5.372 7.922
O 5.222 5.259 10.011
O 3.161 12.253 12.807
O 5.321 4.864 2.183
Li 1.425 3.372 7.939
O 1.813 9.544 6.270
O 9.600 7.574 8.719
Li 0.958 8.207 9.973
O 4.626 7.784 10.891
O 1.931 7.158 4.988
Si 4.450 9.368 10.868
O 7.743 8.042 12.148
Si 7.679 6.574 4.680
O 9.134 7.276 5.152
Si 9.424 5.989 8.742
Fe 3.601 6.130 11.199
Si 4.730 4.273 8.805
Fe 1.373 3.421 4.663
Fe 8.574 9.228 8.411
O 3.262 4.765 8.190
Si 2.652 8.163 6.072
O 0.347 5.075 4.354
O 8.236 10.593 11.420
O 2.831 3.897 3.370
O 0.802 11.138 12.057
O 9.699 2.550 3.474
Si 9.704 11.085 10.805
Si 2.705 3.365 1.857
O 9.418 5.381 10.272
O 6.685 7.884 4.883
O 5.503 2.672 3.735
O 9.145 1.510 1.017
O 8.016 5.490 8.085
O 5.776 4.219 7.553
CELL_PARAMETERS angstrom
9.948 0.000 0.000
0.000 7.229 0.000
0.000 5.419 13.073
```

---

Entry 5:
This record from the Materials Project database describes SrLaTaMnO6 after structural relaxation. The functional is PBE+U. Values from VASP.

Calculated values
Final energy   -8.473 eV/atom
DFT formation energy   -320 kJ per mole of atoms

```
&SYSTEM
  ibrav = 0, nat = 40, ntyp = 5
/
ATOMIC_SPECIES
Mn 54.94 Mn.upf
Ta 180.95 Ta.upf
Sr 87.62 Sr.upf
O 16.00 O.upf
La 138.91 La.upf
ATOMIC_POSITIONS angstrom
Mn -3.591 -3.072 10.806
Ta -1.127 -5.040 13.339
Sr -3.790 0.668 10.230
O 3.755 -0.276 9.205
Mn 2.021 -2.863 11.955
La -1.282 -1.244 12.854
Ta -4.355 -0.151 13.636
Sr 0.330 -0.417 5.995
O -2.874 0.638 12.560
O 0.080 -1.116 15.962
O 0.389 1.598 4.485
O -4.762 -1.591 9.606
O 0.354 -4.251 12.264
O -2.002 0.065 8.561
O -1.423 -3.265 14.242
O -2.160 -0.376 5.511
Mn 0.238 -3.716 6.599
O 0.793 0.239 8.367
O 1.107 -1.941 10.153
O 1.983 -2.397 6.411
La -3.066 -2.097 7.498
Sr 2.113 0.436 11.352
Mn -1.807 -2.219 16.163
La -0.289 2.407 8.907
O 1.971 -1.129 3.849
La 2.939 -2.482 8.610
O -2.120 2.948 10.450
O -1.704 -1.969 10.606
Sr -0.562 -4.221 9.933
O -2.978 -0.738 14.962
O 1.097 -1.405 13.305
O -0.990 -0.614 3.011
O -1.245 2.492 6.707
Ta -0.454 -0.903 9.422
O -3.206 -4.118 8.885
O -0.687 -2.258 7.949
Ta -3.682 3.986 9.718
O -0.376 0.477 10.867
O 2.173 2.451 9.841
O 1.226 -4.824 8.264
CELL_PARAMETERS angstrom
5.012 -4.036 5.060
-1.444 5.742 5.653
-4.514 -3.473 8.127
```

---

Entry 6:
This record from the Materials Project database describes TmFeO3 after structural relaxation. The functional is PBE+U. Values from VASP.

Calculated values
Final energy   -7.570 eV/atom
DFT formation energy   -277 kJ per mole of atoms

```
&SYSTEM
  ibrav = 0, nat = 20, ntyp = 3
/
ATOMIC_SPECIES
O 16.00 O.upf
Tm 168.93 Tm.upf
Fe 55.84 Fe.upf
ATOMIC_POSITIONS angstrom
O -1.284 -2.725 -1.204
Tm -5.412 -3.467 -1.988
O -6.011 -5.569 -1.497
O -6.537 -3.315 0.215
O -1.213 -0.568 -3.825
Fe -2.719 -3.885 -0.319
O -3.430 -4.502 -2.109
O -3.956 -2.247 -0.397
Fe -0.893 0.817 -2.342
Tm -3.373 0.532 -4.338
O -3.268 -3.889 -4.925
O -0.687 -2.822 -5.536
Fe -4.356 -0.615 -1.521
O -6.238 -1.366 -1.808
O -0.986 -4.770 -3.514
Tm -3.851 -6.669 -0.984
Tm -1.811 -2.669 -3.333
Fe 0.744 -2.454 -1.140
O -5.940 -3.412 -4.118
O -3.794 -1.635 -3.213
CELL_PARAMETERS angstrom
-1.786 1.634 -4.684
1.488 -4.907 -2.279
-6.926 -2.863 1.642
```

---

Question: Which value of DFT formation energy does entry 1 give?
Answer: -267 kJ per mole of atoms

---

Question: Look up the final energy of the fourth one.
Answer: -7.247 eV/atom

---

Copy entry 3 word for word.
This record from the Materials Project database describes Be3Cr2Si3O12 after structural relaxation. The functional is PBE+U. Values from VASP.

Calculated values
Final energy   -7.542 eV/atom
DFT formation energy   -275 kJ per mole of atoms

```
&SYSTEM
  ibrav = 0, nat = 80, ntyp = 4
/
ATOMIC_SPECIES
O 16.00 O.upf
Be 9.01 Be.upf
Cr 52.00 Cr.upf
Si 28.09 Si.upf
ATOMIC_POSITIONS angstrom
O 2.481 -13.470 6.977
Be 0.447 -15.818 7.758
O 1.694 -13.479 4.454
O -2.425 -10.921 2.971
O 2.082 -10.856 6.338
Cr 0.163 -17.807 9.559
Si 1.736 -5.076 0.650
Si -2.391 -7.007 0.543
Be 2.849 -11.922 7.382
O -0.265 -4.212 4.282
O 2.187 -9.661 3.382
Be -3.060 -13.400 8.937
O 0.089 -8.804 11.530
Cr 1.966 -11.389 4.367
Be 0.015 -6.971 -0.628
O 2.801 -7.216 2.281
O -1.040 -7.881 8.201
O -0.113 -14.603 8.502
Cr 0.637 -1.966 0.943
O -0.014 -10.054 1.967
O -0.894 -6.294 6.049
Be 1.508 -10.214 1.981
O -1.546 -10.057 9.886
O 0.914 -8.295 6.386
Be -2.049 -7.851 3.120
Be 0.784 -12.802 11.130
O -1.387 -10.112 7.120
O -0.114 -11.478 4.116
O -1.681 -6.303 3.525
O -2.516 -11.898 5.573
Be -0.708 -9.559 8.521
O 3.391 -4.980 0.755
Be -1.052 -12.582 5.144
O -0.233 -16.050 10.634
O 0.004 -8.455 -0.274
O -0.860 -1.815 -0.536
Si 1.187 -13.907 6.035
Si 1.734 -9.520 7.261
Si -0.936 -14.697 9.852
O 1.033 -3.723 -0.132
O 1.670 -16.520 8.779
O 0.912 -5.170 2.000
O -0.700 -13.471 10.940
Si -2.377 -11.434 7.165
O -2.002 -12.556 8.221
Be 1.852 -7.190 5.358
O -1.998 -8.111 1.612
O 3.316 -7.875 4.929
Cr 0.554 -6.582 7.663
O 2.346 -9.715 0.616
O -0.870 -3.253 1.723
O -1.282 -8.917 4.164
O 2.797 -11.662 8.890
Si -0.400 -10.321 11.069
Si -0.934 -10.253 3.241
Si -0.387 -5.866 4.467
Be 0.352 -3.955 2.744
O 1.660 -17.958 11.038
O 1.982 -13.779 10.491
Cr 0.246 -13.191 2.840
O -3.105 -7.554 -0.844
O 1.500 -6.302 -0.438
Cr -1.115 -3.971 -0.263
O 0.814 -9.719 8.535
O 3.905 -12.219 11.346
O 0.796 -11.318 10.776
O 0.900 -6.763 4.245
Be 3.860 -6.373 1.565
O 3.225 -8.852 7.531
O -1.182 -5.994 0.011
Cr 1.914 -15.802 10.765
O 1.065 -15.561 6.220
Si 3.190 -12.765 9.959
Si 1.200 -9.452 -0.567
O 0.711 -10.969 -1.028
O -0.100 -13.010 6.257
Cr -1.167 -8.384 6.136
O -2.591 -14.793 9.747
Si 3.177 -8.339 3.337
O 1.840 -11.892 2.301
CELL_PARAMETERS angstrom
-4.471 -4.902 -3.518
5.508 -5.729 0.982
-0.237 -9.142 13.038
```

---

Question: Which of these has the highest final energy?
Answer: K2Mn2Be3F12